This record from Materials Project describes an optimized crystal structure of VO2. The functional is PBE+U. Values from VASP.

Calculated values
Crystal system: orthorhombic
ΔH_f (0 K): -2.41 eV per atom
Electronic total energy: -7.71 eV per atom

Geometry as Quantum ESPRESSO input:
```
&SYSTEM
  ibrav = 0, nat = 24, ntyp = 2
/
ATOMIC_SPECIES
O 16.00 O.upf
V 50.94 V.upf
ATOMIC_POSITIONS angstrom
O 0.892 -2.210 0.645
O 3.783 -11.060 0.141
O 2.801 -5.607 -4.295
O 1.863 -7.609 5.091
O 4.798 -7.353 -4.911
O 2.653 -8.941 3.013
O -0.144 -5.863 5.737
O 3.173 -7.508 0.631
O 2.000 -4.285 -2.180
O 4.589 -9.607 -3.215
O 0.071 -3.636 4.035
O 1.489 -5.728 0.178
O 0.958 -6.831 2.450
O 2.417 -9.036 -1.492
O 3.683 -6.356 -1.596
O 2.242 -4.170 2.296
V 2.027 -7.285 -0.950
V 2.411 -0.933 0.294
V 2.225 -12.247 0.571
V 0.541 -3.197 2.256
V 0.813 -8.354 3.614
V 2.650 -5.997 1.731
V 3.831 -4.836 -2.762
V 4.131 -10.070 -1.468
CELL_PARAMETERS angstrom
2.870 0.375 0.852
-1.154 -5.839 6.459
2.942 -7.762 -6.492
```


This record from Materials Project describes an optimized crystal structure of V2O5. The functional is PBE+U. Values from VASP.

Calculated values
Crystal system: triclinic
ΔH_f (0 K): -1.76 eV per atom
Electronic total energy: -7.29 eV per atom

Geometry as Quantum ESPRESSO input:
```
&SYSTEM
  ibrav = 0, nat = 105, ntyp = 2
/
ATOMIC_SPECIES
O 16.00 O.upf
V 50.94 V.upf
ATOMIC_POSITIONS angstrom
O 2.866 7.113 4.355
O 9.690 1.454 2.409
O 0.430 1.787 3.770
O 2.246 8.534 2.013
O 3.911 2.073 -0.184
O 8.132 2.559 4.305
O 1.279 9.869 6.051
O 10.055 5.095 -0.103
O 9.915 8.511 7.361
O 10.217 2.324 -0.128
O 8.956 10.727 3.146
O 11.457 3.947 10.628
O 6.262 6.578 5.017
O 1.058 11.151 3.590
O 1.547 0.234 8.756
O 8.812 3.589 9.475
O 3.308 3.392 8.750
O 8.432 3.747 1.345
O 11.064 10.408 9.159
O 5.321 8.270 2.738
O 3.862 11.109 7.886
O -0.203 9.364 0.948
O 0.274 6.476 10.772
O 0.156 5.041 8.067
O 10.067 7.609 10.062
O 0.313 5.679 4.491
O 1.683 8.591 11.182
O 8.993 7.266 0.634
O 7.736 9.894 -0.308
O 11.415 11.711 1.793
O 6.344 11.580 9.643
O 4.927 1.611 7.292
O 2.123 9.584 8.834
O 2.253 11.436 11.137
O 1.565 0.788 1.268
O 5.944 0.305 3.770
O 5.442 3.002 10.565
O 9.016 8.566 10.305
O 0.820 4.123 8.926
O 6.370 7.643 0.124
O -0.355 8.333 9.065
O 9.372 3.007 6.750
O 5.130 3.975 2.766
O 10.242 0.934 4.952
O 1.966 4.671 0.501
O 4.278 6.374 1.573
O 11.543 10.609 4.358
O 10.233 5.838 2.572
O 3.523 11.107 5.007
O 6.339 8.192 9.455
O 3.879 11.508 1.823
O 11.981 3.826 1.754
O 4.726 3.354 5.427
O 1.537 6.576 6.665
O 2.843 4.671 6.580
O 2.451 1.980 6.361
O -0.118 8.619 3.688
O 3.893 8.789 6.340
O 2.647 4.494 4.004
O 6.230 11.370 6.836
O 8.648 5.369 4.968
O 8.924 11.536 10.871
O 7.702 6.325 7.451
O 4.177 0.776 9.675
O 0.114 6.633 1.451
O 3.577 1.668 3.322
O 7.826 0.845 0.316
O 9.994 1.045 8.628
O 7.382 6.142 10.378
O 5.219 5.609 8.645
O 7.309 1.608 8.146
O 11.727 0.676 10.730
O 10.894 3.653 4.248
O 7.318 5.994 2.127
O 2.431 6.636 9.154
V 9.600 2.539 4.972
V 10.818 8.651 8.711
V 3.083 10.170 6.449
V 0.440 8.292 1.970
V 1.987 5.779 5.157
V 8.825 2.299 8.221
V 3.585 7.621 2.756
V 6.575 6.477 8.858
V 10.169 11.775 3.336
V 2.507 11.386 9.372
V 9.792 3.763 10.957
V 3.210 0.606 0.635
V 1.395 8.124 9.671
V 4.041 3.377 3.802
V 3.678 2.870 6.905
V 7.758 6.547 5.673
V 7.184 11.438 11.138
V 7.317 8.001 10.983
V 3.960 2.447 10.236
V 5.937 7.014 1.610
V 8.886 2.104 1.093
V 5.734 0.212 8.039
V 4.369 0.069 3.553
V 0.465 0.555 2.717
V 0.654 5.503 0.035
V 8.973 5.736 1.368
V 1.958 5.299 8.093
V 11.635 4.699 3.075
V 10.617 -0.115 9.879
V 0.184 10.095 4.678
CELL_PARAMETERS angstrom
12.809 -0.245 -0.718
-0.247 11.990 -0.044
-0.759 -0.031 12.017
```


This record from Materials Project describes an optimized crystal structure of VO2. The functional is PBE+U. Values from VASP.

Calculated values
Crystal system: triclinic
ΔH_f (0 K): -2.41 eV per atom
Electronic total energy: -7.71 eV per atom

Geometry as Quantum ESPRESSO input:
```
&SYSTEM
  ibrav = 0, nat = 24, ntyp = 2
/
ATOMIC_SPECIES
O 16.00 O.upf
V 50.94 V.upf
ATOMIC_POSITIONS angstrom
O 6.239 3.858 0.559
O 3.366 10.474 2.215
O 7.759 5.544 2.118
O 4.590 8.370 0.734
O 0.203 7.646 0.789
O 6.911 9.204 2.260
O 5.326 0.190 0.718
O 2.523 6.821 2.329
O 8.581 3.047 2.125
O 0.621 9.932 2.245
O 4.990 6.125 2.174
O 0.989 5.154 0.794
O 1.811 1.442 0.718
O 8.092 0.815 0.564
O 3.766 4.539 0.707
O 4.143 2.299 2.185
V 0.497 1.242 2.206
V 8.223 9.532 0.553
V 3.879 6.557 0.631
V 8.166 4.254 0.619
V 3.722 1.132 0.684
V 4.953 9.564 2.236
V 4.882 4.109 2.253
V 0.594 6.495 2.295
CELL_PARAMETERS angstrom
-0.047 0.006 3.009
8.757 0.022 -0.139
0.026 10.667 0.022
```


This record from Materials Project describes an optimized crystal structure of V2O5. The functional is PBE+U. Values from VASP.

Calculated values
Crystal system: orthorhombic
ΔH_f (0 K): -2.16 eV per atom
Electronic total energy: -7.31 eV per atom

Geometry as Quantum ESPRESSO input:
```
&SYSTEM
  ibrav = 0, nat = 14, ntyp = 2
/
ATOMIC_SPECIES
O 16.00 O.upf
V 50.94 V.upf
ATOMIC_POSITIONS angstrom
O 0.000 2.325 1.993
O 0.000 2.345 5.680
O 1.442 3.428 0.000
O 0.000 4.855 1.817
O 0.000 4.855 9.543
O 1.442 0.918 7.498
O 1.442 3.448 7.673
O 1.442 0.918 3.863
O 0.000 2.325 9.368
O 1.442 3.448 3.688
V 1.442 3.736 9.577
V 0.000 2.037 3.897
V 0.000 2.037 7.464
V 1.442 3.736 1.784
CELL_PARAMETERS angstrom
2.884 0.000 0.000
0.000 5.773 0.000
0.000 0.000 11.360
```


This record from Materials Project describes an optimized crystal structure of V7O3. The functional is PBE+U. Values from VASP.

Calculated values
Crystal system: triclinic
Energy above the most stable polymorph in this dataset: 0.0 meV per atom
ΔH_f (0 K): -0.44 eV per atom
Electronic total energy: -6.89 eV per atom

Geometry as Quantum ESPRESSO input:
```
&SYSTEM
  ibrav = 0, nat = 10, ntyp = 2
/
ATOMIC_SPECIES
V 50.94 V.upf
O 16.00 O.upf
ATOMIC_POSITIONS angstrom
V 3.197 1.951 -0.414
V 3.477 2.220 2.608
V 4.375 4.801 -0.731
V -0.156 -1.047 4.733
V 2.295 -0.611 2.959
V 1.022 1.802 4.417
V 0.742 1.533 1.394
O 3.053 0.930 4.359
O 1.167 2.823 -0.356
O 0.000 0.000 0.000
CELL_PARAMETERS angstrom
5.222 1.100 -0.572
-0.371 4.975 -1.915
-0.631 -2.321 6.489
```


This record from Materials Project describes an optimized crystal structure of VO2. The functional is PBE+U. Values from VASP.

Calculated values
Crystal system: monoclinic
ΔH_f (0 K): -2.45 eV per atom
Electronic total energy: -7.75 eV per atom

Geometry as Quantum ESPRESSO input:
```
&SYSTEM
  ibrav = 0, nat = 24, ntyp = 2
/
ATOMIC_SPECIES
V 50.94 V.upf
O 16.00 O.upf
ATOMIC_POSITIONS angstrom
V -3.468 -0.549 0.262
V -4.256 -2.532 3.041
V -4.395 -2.752 8.097
V -1.082 -1.875 1.463
V -6.106 0.547 4.081
V -6.781 -1.426 6.896
V -1.757 -3.848 4.279
V -3.607 -0.769 5.319
O -1.654 -0.901 -0.161
O -5.326 -0.479 0.547
O -5.500 -3.673 4.073
O -3.053 -4.208 2.965
O -2.363 0.372 4.287
O -5.504 -2.996 1.685
O -4.850 -0.964 3.692
O -2.359 -0.305 6.674
O -6.209 -2.400 8.520
O -3.013 -2.337 4.668
O -3.989 -2.223 -0.707
O -2.943 -1.696 1.805
O -3.874 -1.078 9.066
O -2.537 -2.822 7.812
O -4.920 -1.605 6.555
O -4.809 0.907 5.395
CELL_PARAMETERS angstrom
-4.878 -0.448 -1.592
-0.026 -5.258 1.558
-2.959 2.404 8.393
```


This record from Materials Project describes an optimized crystal structure of V2O5. The functional is PBE+U. Values from VASP.

Calculated values
Crystal system: triclinic
ΔH_f (0 K): -1.77 eV per atom
Electronic total energy: -7.30 eV per atom

Geometry as Quantum ESPRESSO input:
```
&SYSTEM
  ibrav = 0, nat = 105, ntyp = 2
/
ATOMIC_SPECIES
O 16.00 O.upf
V 50.94 V.upf
ATOMIC_POSITIONS angstrom
O 12.622 8.071 9.263
O 3.673 3.001 9.053
O 10.541 12.102 6.226
O 7.799 8.229 9.918
O 6.002 1.813 7.644
O 0.575 0.359 0.179
O 13.022 0.826 10.138
O 8.508 11.484 1.605
O 12.745 0.028 7.706
O 3.068 12.470 4.980
O 3.438 3.521 1.102
O 3.800 9.514 12.472
O 6.219 12.463 9.781
O 10.818 3.650 1.587
O 7.582 10.119 12.076
O 5.550 5.426 2.715
O 3.843 5.620 8.831
O 4.191 6.641 12.616
O 3.038 9.793 2.963
O 9.749 8.252 11.739
O 11.978 4.897 7.389
O 7.605 12.676 7.259
O 2.841 11.403 9.559
O 7.218 3.446 9.506
O 3.339 1.222 11.452
O 5.282 10.783 4.844
O 1.838 8.941 10.520
O 1.861 12.608 2.576
O 1.700 11.403 12.188
O 1.170 5.908 9.278
O 2.983 9.743 5.990
O 9.273 2.917 11.786
O 10.970 12.223 11.850
O 10.883 5.721 4.321
O 12.547 10.266 7.194
O 8.729 7.249 5.466
O 10.657 10.489 9.344
O 7.876 1.402 1.956
O 2.967 4.737 3.669
O 4.114 7.088 4.871
O 1.159 2.260 2.844
O 10.010 3.397 8.986
O 10.548 8.457 7.522
O 5.582 2.471 11.326
O 1.274 4.574 1.367
O 4.513 8.097 10.266
O 3.778 11.665 0.964
O 1.909 4.319 7.365
O 1.533 7.014 6.160
O 8.383 5.058 3.542
O 10.578 0.877 0.889
O 12.218 6.445 11.405
O 5.169 4.528 5.363
O 2.023 6.832 11.574
O 7.292 0.325 12.002
O 5.418 0.361 9.794
O 8.961 5.419 10.546
O 2.471 4.356 10.991
O 0.138 11.190 9.738
O 10.645 9.104 4.812
O 5.911 10.481 2.087
O 8.473 10.112 6.213
O 8.322 12.292 4.575
O 3.813 7.745 7.527
O 0.671 4.610 4.950
O 5.015 7.993 1.969
O 10.445 0.330 8.990
O 12.383 2.816 11.723
O 7.080 7.147 12.623
O 0.959 0.395 4.757
O 6.085 4.290 9.314
O 9.292 4.407 6.307
O 4.777 11.942 7.261
O 11.064 2.346 6.591
O 3.497 2.117 3.352
V 11.683 9.343 8.515
V 5.294 2.544 9.363
V 9.320 5.559 4.788
V 10.574 3.736 7.261
V 3.413 8.181 11.433
V 11.315 12.193 10.034
V 7.082 10.864 0.903
V 0.787 5.343 6.377
V 2.596 4.646 9.022
V 1.940 12.284 0.723
V 8.851 3.850 10.232
V 5.404 0.784 11.656
V 1.641 10.769 10.441
V 6.455 0.184 7.471
V 2.317 0.831 3.503
V 2.749 5.304 12.390
V 9.584 8.671 5.947
V 2.377 3.495 2.536
V 10.619 2.599 0.391
V 8.137 8.378 11.508
V 8.556 0.694 0.687
V 12.240 11.991 6.756
V 4.013 11.184 5.748
V 12.450 0.928 11.772
V 3.079 7.923 6.116
V 5.377 6.501 1.304
V 0.643 7.313 10.199
V 4.128 9.785 1.761
V 4.530 5.467 4.228
V 8.757 11.847 6.050
CELL_PARAMETERS angstrom
12.832 -0.433 0.311
-0.411 12.707 0.534
0.326 0.532 12.321
```


This record from Materials Project describes an optimized crystal structure of VO2. The functional is PBE+U. Values from VASP.

Calculated values
Crystal system: monoclinic
ΔH_f (0 K): -1.98 eV per atom
Electronic total energy: -7.29 eV per atom

Geometry as Quantum ESPRESSO input:
```
&SYSTEM
  ibrav = 0, nat = 12, ntyp = 2
/
ATOMIC_SPECIES
V 50.94 V.upf
O 16.00 O.upf
ATOMIC_POSITIONS angstrom
V -0.945 0.529 0.217
V 1.870 0.183 7.698
V -4.833 2.705 1.110
V 0.174 -0.722 2.519
O -1.286 0.294 1.994
O -2.447 2.401 9.550
O 0.903 0.096 3.698
O -4.270 1.964 2.680
O -0.595 -2.343 3.121
O 1.141 -0.635 6.519
O 0.536 0.731 8.865
O 2.639 1.804 7.096
CELL_PARAMETERS angstrom
-5.778 3.234 1.327
-1.416 -3.695 2.840
3.461 3.156 7.377
```


What is the ΔH_f (0 K) in the second record? -1.76 eV per atom


Among the records above, which one has the highest ΔH_f (0 K)? V7O3


ΔH_f (0 K) of number 6 (VO2)? -2.45 eV per atom


Which value of electronic total energy does entry 6 give? -7.75 eV per atom